Record 1
La3Re2O9 | GGA-PBE | optimized geometry

Cell lengths 5.7056, 6.9219, 11.2288 Å; angles 77.45, 75.64, 69.23 degrees
Closest atoms and distances in Å follow each position.
Positions (direct):
La (0.9965, 0.2774, 0.7306)  7 O 2.43-2.68
La (0.7169, 0.9053, 0.6196)  7 O 2.41-2.66
La (0.2831, 0.0947, 0.3804)  7 O 2.41-2.66
La (0.2243, 0.6617, 0.8825)  7 O 2.44-2.64
La (0.7757, 0.3383, 0.1175)  7 O 2.44-2.64
La (0.0035, 0.7226, 0.2694)  7 O 2.43-2.68
O (0.5847, 0.5597, 0.6868)  1 Re 1.95
O (0.6272, 0.6787, 0.4224)  2 Re 2.04
O (0.1463, 0.3119, 0.9359)  1 Re 1.96
O (0.8212, 0.9913, 0.8102)  1 Re 1.93
O (0.3055, 0.9169, 0.5889)  1 Re 2.00
O (0.8867, 0.2488, 0.5391)  1 Re 1.93
O (0.3728, 0.3213, 0.5776)  2 Re 2.04
O (0.3588, 0.9788, 0.8159)  1 Re 1.95
O (0.9350, 0.3848, 0.2888)  1 Re 2.00
O (0.8537, 0.6881, 0.0641)  1 Re 1.96
O (0.1788, 0.0087, 0.1898)  1 Re 1.93
O (0.6137, 0.3281, 0.9280)  1 Re 1.94
O (0.0650, 0.6152, 0.7112)  1 Re 2.00
O (0.3863, 0.6719, 0.0720)  1 Re 1.94
O (0.6945, 0.0831, 0.4111)  1 Re 2.00
O (0.1133, 0.7512, 0.4609)  1 Re 1.93
O (0.6412, 0.0212, 0.1841)  1 Re 1.95
O (0.4153, 0.4403, 0.3132)  1 Re 1.95
Re (0.4903, 0.1114, 0.9088)  4 O 1.93-1.96
Re (0.5097, 0.8886, 0.0912)  4 O 1.93-1.96
Re (0.6436, 0.3773, 0.4295)  6 O 1.93-2.04
Re (0.3564, 0.6227, 0.5705)  6 O 1.93-2.04

Results
**ρ**: 7.79 g cm⁻³
**ΔH_f (0 K)**: -299 kJ/mol of atoms
**Corrected total energy (MP2020 scheme)**: -9.1109 eV/atom
**Volume**: 14.2 A^3/atom
**Electronic total energy**: -8.669 eV/atom

Record 2
LaRe3O16 | GGA-PBE | optimized geometry

Cell lengths 7.5648, 11.5766, 16.2627 Å; angles 86.35, 90.00, 90.00 degrees
Closest atoms and distances in Å follow each position.
Positions (direct):
O (0.9443, 0.3836, 0.3634)  1 Re 1.80
O (0.7081, 0.5762, 0.7142)  1 O 1.23
O (0.2919, 0.4238, 0.2858)  1 O 1.23
O (0.3411, 0.5717, 0.9687)  1 Re 1.74
O (0.9948, 0.1989, 0.6569)  1 Re 1.73
O (0.8411, 0.4283, 0.5313)  1 Re 1.74
O (0.9149, 0.3523, 0.9196)  1 Re 1.74
O (0.7750, 0.5810, 0.8989)  1 Re 1.75
O (0.2917, 0.2591, 0.4705)  3 O 2.58-2.83, 1 La 2.64
O (0.7917, 0.7409, 0.0295)  3 O 2.58-2.83, 1 La 2.64
O (0.7850, 0.4821, 0.7201)  1 O 1.23
O (0.8890, 0.9450, 0.7690)  1 Re 1.76
O (0.0851, 0.6477, 0.0804)  1 Re 1.74
O (0.6672, 0.9979, 0.4345)  1 Re 1.72
O (0.4149, 0.6477, 0.5804)  1 Re 1.74
O (0.8951, 0.9899, 0.5906)  1 Re 1.77
O (0.2150, 0.5179, 0.2799)  1 O 1.23
O (0.1049, 0.0101, 0.4094)  1 Re 1.77
O (0.2850, 0.5179, 0.7799)  1 O 1.23
O (0.9862, 0.6695, 0.8004)  1 O 2.44
O (0.5495, 0.1961, 0.9800)  1 Re 1.78
O (0.1110, 0.0550, 0.2310)  1 Re 1.76
O (0.0557, 0.6164, 0.6366)  1 Re 1.80
O (0.6521, 0.1764, 0.5924)  1 Re 1.73
O (0.5138, 0.6695, 0.3004)  1 O 2.44
O (0.2070, 0.8474, 0.6924)  1 Re 1.77
O (0.1521, 0.8236, 0.9076)  1 Re 1.73
O (0.7150, 0.4821, 0.2201)  1 O 1.23
O (0.7070, 0.1526, 0.8076)  1 Re 1.77
O (0.0495, 0.8039, 0.5200)  1 Re 1.78
O (0.4163, 0.1326, 0.3390)  1 Re 1.77
O (0.1672, 0.0021, 0.0655)  1 Re 1.72
O (0.0052, 0.8011, 0.3431)  1 Re 1.73
O (0.4948, 0.8011, 0.8431)  1 Re 1.73
O (0.5837, 0.8674, 0.6610)  1 Re 1.77
O (0.0138, 0.3305, 0.1996)  1 O 2.44
O (0.7083, 0.7409, 0.5295)  3 O 2.58-2.83, 1 La 2.64
O (0.0837, 0.1326, 0.8390)  1 Re 1.77
O (0.8479, 0.1764, 0.0924)  1 Re 1.73
O (0.7250, 0.5810, 0.3989)  1 Re 1.75
O (0.5052, 0.1989, 0.1569)  1 Re 1.73
O (0.3890, 0.0550, 0.7310)  1 Re 1.76
O (0.4505, 0.8039, 0.0200)  1 Re 1.78
O (0.8328, 0.9979, 0.9345)  1 Re 1.72
O (0.4443, 0.6164, 0.1366)  1 Re 1.80
O (0.5557, 0.3836, 0.8634)  1 Re 1.80
O (0.3951, 0.0101, 0.9094)  1 Re 1.77
O (0.7919, 0.5762, 0.2142)  1 O 1.23
O (0.6110, 0.9450, 0.2690)  1 Re 1.76
O (0.9163, 0.8674, 0.1610)  1 Re 1.77
O (0.9505, 0.1961, 0.4800)  1 Re 1.78
O (0.6049, 0.9899, 0.0906)  1 Re 1.77
O (0.2250, 0.4190, 0.1011)  1 Re 1.75
O (0.6589, 0.4283, 0.0313)  1 Re 1.74
O (0.2930, 0.8474, 0.1924)  1 Re 1.77
O (0.2750, 0.4190, 0.6011)  1 Re 1.75
O (0.2081, 0.4238, 0.7858)  1 O 1.23
O (0.1589, 0.5717, 0.4687)  1 Re 1.74
O (0.7930, 0.1526, 0.3076)  1 Re 1.77
O (0.2083, 0.2591, 0.9705)  3 O 2.58-2.83, 1 La 2.64
O (0.4862, 0.3305, 0.6996)  1 O 2.44
O (0.3479, 0.8236, 0.4076)  1 Re 1.73
O (0.5851, 0.3523, 0.4196)  1 Re 1.74
O (0.3328, 0.0021, 0.5655)  1 Re 1.72
Re (0.3730, 0.8578, 0.9213)  4 O 1.73-1.78
Re (0.1189, 0.9429, 0.1627)  4 O 1.72-1.77
Re (0.6270, 0.1422, 0.0787)  4 O 1.73-1.78
Re (0.2744, 0.5635, 0.0712)  4 O 1.74-1.80
Re (0.3811, 0.9429, 0.6627)  4 O 1.72-1.77
Re (0.7744, 0.4365, 0.4288)  4 O 1.74-1.80
Re (0.7256, 0.4365, 0.9288)  4 O 1.74-1.80
Re (0.8811, 0.0571, 0.8373)  4 O 1.72-1.77
Re (0.6189, 0.0571, 0.3373)  4 O 1.72-1.77
Re (0.2256, 0.5635, 0.5712)  4 O 1.74-1.80
Re (0.8730, 0.1422, 0.5787)  4 O 1.73-1.78
Re (0.1270, 0.8578, 0.4213)  4 O 1.73-1.78
La (0.6024, 0.7947, 0.1581)  7 O 2.43-2.64
La (0.1024, 0.2053, 0.3419)  7 O 2.43-2.64
La (0.8976, 0.7947, 0.6581)  7 O 2.43-2.64
La (0.3976, 0.2053, 0.8419)  7 O 2.43-2.64

Results
**ρ**: 4.46 g cm⁻³
**ΔH_f (0 K)**: -127 kJ/mol of atoms
**Corrected total energy (MP2020 scheme)**: -7.3861 eV/atom
**Volume**: 17.8 A^3/atom
**Electronic total energy**: -7.257 eV/atom
**M_tot**: 0.328 Bohr magnetons per cell

What is the ρ in the second record?
4.46 g cm⁻³

The highest corrected total energy (MP2020 scheme) belongs to which entry?
LaRe3O16

ΔH_f (0 K) of number 2 (LaRe3O16)?
-127 kJ/mol of atoms